No. 1
K2TaF7, relaxed, DFT PBE; volume = 668.9 Å³/cell; raw total energy = -0.218 hartree per atom; ρ = 3.894 g cm⁻³
1.0
12.9010 0.0000 0.0000
0.0000 5.9522 0.0000
0.0000 0.0457 8.7102
F K Ta
28 8 4
Cartesian
3.1431 0.3023 6.9588
1.3956 0.2916 5.3227
8.0360 4.8757 4.4112
7.8462 5.7292 7.7426
5.4298 3.3330 3.1935
11.3155 4.8528 0.0561
4.8650 1.1223 4.2990
1.5855 1.1451 8.6541
1.0207 3.3558 7.5485
9.5936 5.7185 6.1064
7.8741 3.2530 7.9283
1.4236 2.7678 5.1369
11.8804 2.6421 1.1616
9.7579 5.6956 1.7514
11.5054 5.7063 3.3875
0.2657 4.7172 1.8672
9.7776 3.2725 6.2104
7.4712 2.6649 5.5167
6.1848 4.7400 6.2223
3.1234 2.7254 2.4998
11.4774 3.2301 3.5733
3.3271 2.7483 6.8548
5.0549 0.2687 0.9676
9.5739 3.2497 1.8553
3.3074 0.2795 2.6037
6.7162 1.2579 2.4879
5.0269 2.7449 0.7818
12.6353 1.2808 6.8429
7.2069 4.5519 1.5744
10.1249 1.4501 8.2374
2.7761 4.5478 0.4728
3.6744 4.5707 4.8279
5.6941 1.4460 7.1357
0.7564 1.4232 2.7806
12.1446 4.5747 5.9295
9.2266 1.4273 3.8823
4.7813 1.6273 2.4076
8.1198 4.3706 6.3025
11.2318 4.3477 1.9475
1.6693 1.6502 6.7627

---

No. 2
Ca2TlPb, relaxed, DFT PBE; volume = 121.4 Å³/cell; raw total energy = -0.111 hartree per atom; ρ = 6.729 g cm⁻³
1.0
5.3872 -0.5594 -1.2441
2.3177 -5.0498 -0.1053
1.5125 -2.2627 -4.8451
Ca Tl Pb
2 1 1
Cartesian
6.9130 -5.9038 -4.6459
2.3043 -1.9679 -1.5486
0.0000 0.0000 0.0000
4.6087 -3.9359 -3.0972

---

No. 3
CsMg14Si, relaxed, DFT PBE; volume = 396.2 Å³/cell; raw total energy = -0.059 hartree per atom; spin magnetization = 0.000 μB/f.u.; ρ = 2.101 g cm⁻³
1.0
-5.7930 2.7012 -1.5434
1.0441 -1.6072 6.2900
3.9228 9.4154 1.7546
Si Mg Cs
1 14 1
Cartesian
-3.2635 1.1073 1.3546
-0.7544 -0.0115 1.7483
1.0661 7.6069 1.9216
-1.0622 5.1652 5.1824
-1.6168 9.2036 1.1361
1.4322 4.5905 2.6891
1.9079 3.7922 5.9097
-0.2084 2.4600 4.0995
-1.5552 5.9744 1.9420
-3.0182 3.6121 3.2893
-0.8102 3.1034 1.0824
-3.7224 4.1497 0.1943
-3.0675 0.5214 4.0603
-1.1419 8.1156 4.1285
1.5510 6.6828 4.8864
-0.1905 -0.8292 4.8755